Entry 1:
The following is a DFT calculation (PBE) of an optimized crystal structure of LiBiP4O12.

```
LiBiP4O12
1.0
13.218 0.000 0.000
0.000 7.240 0.000
0.000 7.084 9.870
O Bi P Li
48 4 16 4
direct
0.487 0.426 0.787
0.987 0.574 0.713
0.419 0.195 0.711
0.108 0.308 0.911
0.334 0.700 0.213
0.624 0.593 0.831
0.367 0.975 0.341
0.666 0.300 0.787
0.081 0.195 0.211
0.876 0.593 0.331
0.392 0.856 0.708
0.919 0.805 0.789
0.392 0.308 0.411
0.022 0.154 0.631
0.108 0.856 0.208
0.190 0.291 0.346
0.336 0.831 0.918
0.013 0.426 0.287
0.146 0.588 0.094
0.711 0.806 0.902
0.124 0.407 0.669
0.789 0.806 0.402
0.133 0.975 0.841
0.354 0.588 0.594
0.892 0.144 0.792
0.166 0.700 0.713
0.690 0.709 0.154
0.664 0.169 0.082
0.478 0.154 0.131
0.310 0.291 0.846
0.608 0.692 0.589
0.646 0.412 0.406
0.836 0.169 0.582
0.513 0.574 0.213
0.164 0.831 0.418
0.211 0.194 0.598
0.289 0.194 0.098
0.581 0.805 0.289
0.522 0.846 0.869
0.608 0.144 0.292
0.892 0.692 0.089
0.376 0.407 0.169
0.867 0.025 0.159
0.854 0.412 0.906
0.978 0.846 0.369
0.834 0.300 0.287
0.810 0.709 0.654
0.633 0.025 0.659
0.282 0.967 0.522
0.782 0.033 0.978
0.218 0.967 0.022
0.718 0.033 0.478
0.091 0.923 0.302
0.591 0.077 0.198
0.872 0.836 0.307
0.399 0.493 0.261
0.372 0.164 0.193
0.615 0.615 0.267
0.601 0.507 0.739
0.115 0.385 0.233
0.885 0.615 0.767
0.628 0.836 0.807
0.909 0.077 0.698
0.899 0.507 0.239
0.101 0.493 0.761
0.409 0.923 0.802
0.128 0.164 0.693
0.385 0.385 0.733
0.282 0.568 0.441
0.218 0.568 0.941
0.718 0.432 0.559
0.782 0.432 0.059
```

Computed properties:
Density ... 3.7 g cm⁻³
Formation energy from the elements ... -2533 meV per atom
ΔE to the lowest computed polymorph ... 0.59 eV per formula unit



Entry 2:
The following is a DFT calculation (PBE) of an optimized crystal structure of Li3BiP2O8.

```
Li3BiP2O8
1.0
3.521 7.079 -4.438
6.394 -5.366 3.614
0.088 -4.882 -7.822
O Li P Bi
32 12 8 4
direct
0.120 0.009 0.178
0.884 0.628 0.682
0.558 0.384 0.653
0.592 0.894 0.860
0.966 0.323 0.582
0.564 0.909 0.343
0.187 0.728 0.671
0.218 0.952 0.927
0.459 0.613 0.330
0.664 0.461 0.201
0.422 0.105 0.119
0.051 0.912 0.595
0.300 0.514 0.076
0.433 0.088 0.642
0.725 0.195 0.861
0.224 0.263 0.924
0.479 0.257 0.406
0.739 0.767 0.431
0.261 0.242 0.584
0.114 0.389 0.346
0.745 0.036 0.082
0.671 0.491 0.934
0.903 0.038 0.852
0.808 0.285 0.350
0.099 0.465 0.861
0.494 0.741 0.578
0.259 0.810 0.149
0.385 0.532 0.812
0.937 0.592 0.075
0.945 0.097 0.403
0.021 0.665 0.437
0.750 0.738 0.098
0.423 0.881 0.693
0.861 0.947 0.556
0.880 0.917 0.237
0.890 0.376 0.773
0.088 0.688 0.909
0.405 0.405 0.247
0.593 0.132 0.282
0.614 0.594 0.767
0.140 0.064 0.433
0.109 0.597 0.220
0.113 0.058 0.773
0.042 0.119 0.030
0.249 0.968 0.095
0.431 0.239 0.568
0.763 0.572 0.077
0.034 0.736 0.597
0.564 0.760 0.423
0.249 0.443 0.922
0.960 0.271 0.417
0.744 0.038 0.912
0.748 0.494 0.437
0.509 0.783 0.105
0.494 0.230 0.892
0.237 0.503 0.594
```

Computed properties:
Density ... 4.0 g cm⁻³
Formation energy from the elements ... -2521 meV per atom
ΔE to the lowest computed polymorph ... 0.59 eV per formula unit



Entry 3:
The following is a DFT calculation (PBE) of an optimized crystal structure of LiBi2P3O12.

```
LiBi2P3O12
1.0
9.320 0.000 0.000
0.000 8.981 0.000
0.000 8.716 12.769
P Li O Bi
12 4 48 8
direct
0.870 0.257 0.339
0.097 0.040 0.855
0.130 0.743 0.661
0.597 0.960 0.645
0.756 0.547 0.995
0.244 0.453 0.005
0.256 0.453 0.505
0.903 0.960 0.145
0.630 0.257 0.839
0.403 0.040 0.355
0.744 0.547 0.495
0.370 0.743 0.161
0.778 0.970 0.818
0.222 0.030 0.182
0.278 0.030 0.682
0.722 0.970 0.318
0.201 0.257 0.563
0.884 0.780 0.149
0.305 0.475 0.595
0.988 0.407 0.281
0.116 0.220 0.851
0.362 0.588 0.937
0.012 0.593 0.719
0.891 0.176 0.456
0.701 0.743 0.937
0.638 0.412 0.063
0.027 0.942 0.216
0.488 0.593 0.219
0.114 0.887 0.684
0.883 0.510 0.070
0.386 0.887 0.184
0.384 0.220 0.351
0.066 0.884 0.970
0.934 0.116 0.030
0.609 0.176 0.956
0.527 0.058 0.284
0.805 0.525 0.905
0.973 0.058 0.784
0.799 0.743 0.437
0.566 0.116 0.530
0.785 0.335 0.801
0.117 0.490 0.930
0.391 0.824 0.044
0.242 0.017 0.815
0.215 0.665 0.199
0.285 0.665 0.699
0.886 0.113 0.316
0.695 0.525 0.405
0.616 0.780 0.649
0.434 0.884 0.470
0.109 0.824 0.544
0.383 0.490 0.430
0.614 0.113 0.816
0.473 0.942 0.716
0.742 0.983 0.685
0.258 0.017 0.315
0.138 0.588 0.437
0.617 0.510 0.570
0.758 0.983 0.185
0.299 0.257 0.063
0.862 0.412 0.563
0.715 0.335 0.301
0.512 0.407 0.781
0.195 0.475 0.095
0.543 0.146 0.106
0.538 0.373 0.379
0.957 0.146 0.606
0.038 0.627 0.121
0.457 0.854 0.894
0.962 0.373 0.879
0.043 0.854 0.394
0.462 0.627 0.621
```

Computed properties:
Density ... 4.4 g cm⁻³
Formation energy from the elements ... -2299 meV per atom
ΔE to the lowest computed polymorph ... 0.02 eV per formula unit



Entry 4:
The following is a DFT calculation (PBE) of an optimized crystal structure of Li2BiP2O8.

```
Li2BiP2O8
1.0
4.297 -7.442 0.000
4.297 7.442 0.000
0.000 0.000 7.875
P O Bi Li
6 24 3 6
direct
0.365 0.018 0.753
0.019 0.711 0.243
0.289 0.308 0.243
0.653 0.635 0.753
0.692 0.981 0.243
0.982 0.347 0.753
0.535 0.723 0.764
0.420 0.231 0.253
0.748 0.930 0.068
0.218 0.075 0.756
0.483 0.890 0.229
0.156 0.244 0.390
0.600 0.511 0.912
0.110 0.593 0.229
0.907 0.373 0.587
0.407 0.517 0.229
0.769 0.190 0.253
0.188 0.465 0.764
0.810 0.580 0.253
0.858 0.782 0.756
0.466 0.093 0.587
0.277 0.812 0.764
0.756 0.912 0.390
0.182 0.252 0.068
0.910 0.400 0.912
0.925 0.142 0.756
0.088 0.844 0.390
0.489 0.090 0.912
0.070 0.818 0.068
0.627 0.534 0.587
0.667 0.333 0.061
0.000 0.000 0.937
0.333 0.667 0.001
0.645 0.645 0.365
0.355 0.000 0.365
0.000 0.000 0.502
0.667 0.333 0.537
0.000 0.355 0.365
0.333 0.667 0.617
```

Computed properties:
Density ... 4.1 g cm⁻³
Formation energy from the elements ... -2420 meV per atom



Entry 5:
The following is a DFT calculation (PBE) of an optimized crystal structure of LiBiPd2O4.

```
LiBiPd2O4
1.0
-2.860 -6.225 1.522
3.528 -2.921 -5.317
3.375 -0.884 2.725
Pd O Bi Li
4 8 2 2
direct
0.750 0.250 0.000
0.250 0.750 0.000
0.750 0.750 0.000
0.250 0.250 0.000
0.500 0.726 0.765
0.000 0.774 0.235
0.226 0.000 0.765
0.774 0.000 0.765
0.726 0.500 0.235
0.500 0.274 0.765
0.000 0.226 0.235
0.274 0.500 0.235
0.500 0.000 0.493
0.000 0.500 0.507
0.000 0.000 0.500
0.500 0.500 0.500
```

Computed properties:
Density ... 7.5 g cm⁻³
Formation energy from the elements ... -1384 meV per atom



Entry 6:
The following is a DFT calculation (PBE) of an optimized crystal structure of LiSm3BiRu4O14.

```
LiSm3BiRu4O14
1.0
-0.337 1.195 -7.364
1.527 5.654 4.632
6.084 1.491 -3.824
Ru O Li Sm Bi
4 14 1 3 1
direct
0.245 0.878 0.878
0.755 0.878 0.368
0.245 0.368 0.878
0.755 0.877 0.878
0.037 0.519 0.445
0.998 0.797 0.205
0.498 0.537 0.541
0.995 0.791 0.800
0.502 0.251 0.248
0.594 0.797 0.205
0.998 0.201 0.205
0.409 0.205 0.800
0.495 0.954 0.964
0.495 0.542 0.964
0.922 0.961 0.541
0.082 0.541 0.964
0.996 0.205 0.800
0.498 0.961 0.541
0.276 0.639 0.086
0.723 0.361 0.399
0.240 0.362 0.399
0.239 0.878 0.400
0.747 0.373 0.880
```

Computed properties:
Density ... 7.5 g cm⁻³
Formation energy from the elements ... -2242 meV per atom
ΔE to the lowest computed polymorph ... 0.29 eV per formula unit